Na14Ga4Si9Ge4S3O48: relaxed, PBE-GGA.

Structure (POSCAR):
```
Na14Ga4Si9Ge4S3O48
1.0
8.8331 0.0000 0.0000
0.0169 15.2892 0.0000
0.0366 0.2846 21.8405
Na Ga Si Ge S O
42 12 27 12 9 144
direct
0.0000 0.0000 0.0000
0.0004 0.3339 0.3358
0.0420 0.6519 0.3350
0.0434 0.3493 0.6691
0.0444 0.6832 0.0031
0.0501 0.3185 0.0042
0.0539 0.9804 0.6717
0.1693 0.4823 0.1687
0.1750 0.8188 0.5063
0.1793 0.1801 0.5062
0.1816 0.8489 0.1669
0.1829 0.1495 0.8362
0.2241 0.5020 0.5042
0.2269 0.8343 0.8364
0.2351 0.1700 0.1663
0.3590 0.3317 0.0831
0.3625 0.6662 0.9192
0.3641 0.9996 0.7546
0.3650 0.0023 0.2546
0.3660 0.6664 0.4212
0.3680 0.3291 0.5879
0.4867 0.1683 0.6690
0.4940 0.4997 0.9998
0.5036 0.8359 0.3388
0.5430 0.1483 0.3352
0.5431 0.1883 0.0034
0.5442 0.8488 0.6714
0.5506 0.4838 0.6753
0.6708 0.9822 0.1728
0.6800 0.6893 0.5060
0.6806 0.6523 0.8360
0.6817 0.3493 0.1655
0.7197 0.3360 0.8387
0.7302 0.9988 0.5020
0.7369 0.6685 0.1667
0.8568 0.8286 0.0841
0.8579 0.1649 0.9201
0.8594 0.5040 0.7557
0.8634 0.5029 0.2521
0.8640 0.1629 0.4214
0.8650 0.8315 0.5865
0.9891 0.6723 0.6701
0.3454 0.3252 0.2355
0.3485 0.0000 0.6025
0.3576 0.6828 0.5695
0.3664 0.0003 0.1023
0.3765 0.3364 0.9411
0.3811 0.3257 0.7370
0.8425 0.8240 0.2368
0.8479 0.8369 0.4418
0.8598 0.5018 0.6060
0.8652 0.8268 0.7399
0.8658 0.1819 0.0666
0.8748 0.5011 0.1002
0.0006 0.3596 0.5031
0.0048 0.3132 0.1718
0.0113 0.6468 0.5052
0.0135 0.6819 0.8368
0.0699 0.0007 0.5031
0.0757 0.6688 0.1707
0.1485 0.1688 0.6705
0.1543 0.5008 0.0031
0.2111 0.1820 0.3370
0.2144 0.8139 0.6723
0.2163 0.1439 0.0031
0.2157 0.8597 0.0028
0.2263 0.4788 0.3365
0.5026 0.8103 0.1689
0.5038 0.4803 0.8361
0.5038 0.8588 0.5038
0.5114 0.1508 0.5046
0.5120 0.1842 0.8384
0.5736 0.1682 0.1701
0.5785 0.8403 0.8372
0.6504 0.6677 0.6694
0.7111 0.6827 0.3389
0.7133 0.6508 0.0055
0.7198 0.3592 0.0037
0.7204 0.9805 0.3360
0.7212 0.3101 0.6691
0.9970 0.9791 0.8363
0.3401 0.3290 0.4385
0.3491 0.9984 0.8961
0.3590 0.6797 0.0606
0.3641 0.6647 0.2722
0.3691 0.0093 0.4068
0.3756 0.6744 0.7789
0.8540 0.5099 0.9061
0.8596 0.1640 0.7728
0.8631 0.1626 0.2717
0.8642 0.1779 0.5624
0.8695 0.8266 0.9340
0.8830 0.5060 0.4019
0.0050 0.0223 0.1703
0.0727 0.3363 0.8361
0.1516 0.8364 0.3361
0.2188 0.5229 0.6706
0.5053 0.5229 0.1708
0.5730 0.4970 0.5018
0.6484 0.3373 0.3374
0.6523 0.9982 0.0028
0.7188 0.0243 0.6694
0.0256 0.1807 0.3287
0.0283 0.8482 0.9962
0.0295 0.1487 0.0091
0.0305 0.8259 0.6770
0.0364 0.4869 0.3430
0.0391 0.1488 0.7310
0.0390 0.5237 0.9460
0.0407 0.1866 0.6095
0.0506 0.5135 0.6664
0.0602 0.8183 0.3907
0.0603 0.8484 0.2798
0.0611 0.4786 0.0658
0.1637 0.3183 0.8908
0.1639 0.3483 0.7797
0.1649 0.9795 0.5647
0.1724 0.0144 0.1677
0.1839 0.0246 0.4450
0.1839 0.6482 0.2320
0.1852 0.6861 0.1107
0.1845 0.9902 0.8423
0.1893 0.3248 0.1755
0.1902 0.3492 0.4967
0.1969 0.6499 0.5094
0.1976 0.6789 0.8289
0.2255 0.7527 0.6115
0.2307 0.2490 0.3959
0.2331 0.9176 0.0646
0.2424 0.5788 0.7239
0.2432 0.0800 0.9438
0.2447 0.4177 0.2772
0.2492 0.2590 0.6760
0.2507 0.7541 0.3323
0.2532 0.9124 0.3397
0.2580 0.0829 0.6669
0.2581 0.4140 0.9964
0.2614 0.5896 0.0116
0.2851 0.4335 0.6764
0.2874 0.2416 0.9953
0.2872 0.7606 0.0064
0.2884 0.5592 0.6136
0.2906 0.5800 0.3314
0.2965 0.9025 0.9427
0.2972 0.0876 0.3455
0.2995 0.1046 0.0648
0.3004 0.7654 0.7309
0.3008 0.4336 0.3988
0.3016 0.2222 0.2785
0.3019 0.9085 0.6680
0.4195 0.9026 0.4419
0.4224 0.7669 0.2313
0.4235 0.1108 0.5638
0.4243 0.2206 0.7771
0.4247 0.9078 0.1640
0.4280 0.2483 0.4924
0.4276 0.7605 0.5043
0.4293 0.4391 0.8971
0.4299 0.0886 0.8470
0.4334 0.5605 0.1158
0.4343 0.5801 0.8291
0.4378 0.4348 0.1784
0.4602 0.9221 0.8453
0.4653 0.0808 0.1671
0.4702 0.7502 0.8337
0.4733 0.2585 0.1773
0.4746 0.4188 0.4967
0.4751 0.5757 0.5062
0.4804 0.7428 0.1123
0.4830 0.5796 0.2261
0.4845 0.9201 0.5636
0.4858 0.4190 0.7751
0.4929 0.0892 0.4433
0.4938 0.2484 0.8965
0.5250 0.6791 0.3278
0.5276 0.6527 0.0122
0.5311 0.9897 0.3429
0.5368 0.3221 0.6726
0.5375 0.3467 0.0010
0.5417 0.6469 0.7297
0.5473 0.6811 0.6076
0.5510 0.3193 0.3917
0.5528 0.0166 0.6659
0.5550 0.0166 0.9502
0.5605 0.3505 0.2807
0.5647 0.9839 0.0611
0.6608 0.4823 0.5590
0.6715 0.5150 0.1676
0.6713 0.8549 0.7740
0.6722 0.5148 0.4480
0.6786 0.1833 0.1095
0.6820 0.1485 0.2312
0.6863 0.8466 0.5001
0.6875 0.8145 0.8958
0.6873 0.8221 0.1731
0.6936 0.4886 0.8434
0.6962 0.1539 0.5108
0.6988 0.1808 0.8276
0.7303 0.5875 0.9450
0.7323 0.7465 0.3966
0.7398 0.4183 0.0649
0.7408 0.0804 0.7245
0.7410 0.9200 0.2749
0.7428 0.2438 0.6113
0.7466 0.2563 0.3345
0.7504 0.0779 0.0086
0.7496 0.4138 0.3425
0.7510 0.9208 0.9991
0.7536 0.7560 0.6738
0.7578 0.5790 0.6661
0.7889 0.9373 0.6745
0.7902 0.0639 0.6138
0.7897 0.0823 0.3292
0.7928 0.5840 0.3474
0.7956 0.9399 0.3968
0.7966 0.2608 0.0042
0.7973 0.6090 0.0655
0.7994 0.7457 0.9960
0.7999 0.4068 0.6636
0.8009 0.7184 0.2779
0.8025 0.2662 0.7306
0.8053 0.4031 0.9428
0.9211 0.4083 0.1692
0.9226 0.2649 0.2325
0.9230 0.6036 0.5634
0.9236 0.4023 0.4406
0.9246 0.7204 0.7775
0.9251 0.9350 0.8991
0.9256 0.5873 0.8458
0.9314 0.0810 0.8309
0.9344 0.0602 0.1154
0.9350 0.2600 0.5058
0.9367 0.7426 0.4951
0.9382 0.9343 0.1778
0.9622 0.0896 0.5107
0.9662 0.5831 0.1678
0.9665 0.9142 0.4958
0.9710 0.4124 0.8399
0.9739 0.2542 0.8322
0.9750 0.7593 0.1769
0.9829 0.9193 0.7763
0.9840 0.0794 0.2253
0.9873 0.4198 0.5629
0.9905 0.5839 0.4438
0.9936 0.2499 0.1129
0.9949 0.7474 0.8965
```

The formation energy comes out at -2.443 eV/atom. For the volume, the calculation gives 12.0 Å³ per atom. As for the space group: P1. For the total magnetic moment, the calculation gives 0.00 Bohr magnetons per cell.

=====

P3Au2: relaxed, PBE-GGA.

Structure (POSCAR):
```
P3Au2
1.0
2.9695 -7.2953 0.0000
2.9695 7.2953 0.0000
-1.4667 0.0000 4.5323
P Au
6 4
direct
0.0498 0.2924 0.1797
0.1829 0.1829 0.4707
0.2924 0.0498 0.1797
0.7076 0.9502 0.8203
0.8172 0.8172 0.5293
0.9502 0.7076 0.8203
0.0000 0.5000 0.5000
0.3917 0.6083 0.0000
0.5000 0.0000 0.5000
0.6083 0.3917 0.0000
```

The formation energy comes out at -0.110 eV/atom. For the volume, the calculation gives 19.6 Å³ per atom. As for the space group: C2/m.

=====

Nb3Pb2O7F5: relaxed, PBE-GGA.

Structure (POSCAR):
```
Nb3Pb2O7F5
1.0
-1.9425 1.9808 16.7822
1.9425 -1.9808 16.7822
1.9425 1.9808 -16.7822
Nb Pb O F
3 2 7 5
direct
0.0000 0.0000 0.0000
0.1152 0.1152 0.0000
0.2355 0.2355 0.0000
0.4245 0.4245 0.0000
0.8295 0.8295 0.0000
0.0553 0.0553 0.0000
0.1234 0.6234 0.5000
0.1827 0.1827 0.0000
0.2458 0.7458 0.5000
0.4882 0.9882 0.5000
0.6222 0.1222 0.5000
0.9874 0.4874 0.5000
0.3028 0.3028 0.0000
0.3709 0.8709 0.5000
0.7475 0.2475 0.5000
0.8710 0.3710 0.5000
0.9317 0.9317 0.0000
```

The formation energy comes out at -2.880 eV/atom. For the volume, the calculation gives 15.2 Å³ per atom. As for the space group: Imm2. For the total magnetic moment, the calculation gives 0.00 Bohr magnetons per cell.

=====

Question: Number 1 is which compound?
Answer: Na14Ga4Si9Ge4S3O48

=====

Copy entry 2 word for word.
P3Au2: relaxed, PBE-GGA.

Structure (POSCAR):
```
P3Au2
1.0
2.9695 -7.2953 0.0000
2.9695 7.2953 0.0000
-1.4667 0.0000 4.5323
P Au
6 4
direct
0.0498 0.2924 0.1797
0.1829 0.1829 0.4707
0.2924 0.0498 0.1797
0.7076 0.9502 0.8203
0.8172 0.8172 0.5293
0.9502 0.7076 0.8203
0.0000 0.5000 0.5000
0.3917 0.6083 0.0000
0.5000 0.0000 0.5000
0.6083 0.3917 0.0000
```

The formation energy comes out at -0.110 eV/atom. For the volume, the calculation gives 19.6 Å³ per atom. As for the space group: C2/m.

=====

Question: Among the records above, which one has the lowest volume?
Answer: Na14Ga4Si9Ge4S3O48